Here is a geometry-optimized CaS2Cl2O6 structure from the Materials Project. Energies are from PBE.

Cell: 9.3896 10.4463 17.6381 Å, 90.00 90.00 90.00°
Element x y z (fractional)
Ca (0.6390, 0.4019, 0.3716)
Ca (0.8610, 0.9019, 0.6284)
Ca (0.6390, 0.9019, 0.1284)
Ca (0.1390, 0.0981, 0.3716)
Ca (0.3610, 0.5981, 0.6284)
Ca (0.1390, 0.5981, 0.1284)
Ca (0.8610, 0.4019, 0.8716)
Ca (0.3610, 0.0981, 0.8716)
S (0.0319, 0.6496, 0.7464)
S (0.2215, 0.3872, 0.9691)
S (0.9681, 0.3504, 0.2536)
S (0.4681, 0.1496, 0.2536)
S (0.2785, 0.3872, 0.4691)
S (0.2215, 0.8872, 0.5309)
S (0.9681, 0.8504, 0.2464)
S (0.4681, 0.6496, 0.2464)
S (0.0319, 0.1496, 0.7536)
S (0.7785, 0.1128, 0.4691)
S (0.7215, 0.6128, 0.5309)
S (0.2785, 0.8872, 0.0309)
S (0.5319, 0.3504, 0.7536)
S (0.5319, 0.8504, 0.7464)
S (0.7215, 0.1128, 0.9691)
S (0.7785, 0.6128, 0.0309)
Cl (0.8583, 0.4878, 0.5836)
Cl (0.3809, 0.2570, 0.1679)
Cl (0.3583, 0.0122, 0.5836)
Cl (0.6191, 0.2430, 0.6679)
Cl (0.8809, 0.7430, 0.3321)
Cl (0.6191, 0.7430, 0.8321)
Cl (0.1191, 0.2570, 0.6679)
Cl (0.1191, 0.7570, 0.8321)
Cl (0.8809, 0.2430, 0.1679)
Cl (0.1417, 0.0122, 0.0836)
Cl (0.6417, 0.9878, 0.4164)
Cl (0.8583, 0.9878, 0.9164)
Cl (0.1417, 0.5122, 0.4164)
Cl (0.3583, 0.5122, 0.9164)
Cl (0.6417, 0.4878, 0.0836)
Cl (0.3809, 0.7570, 0.3321)
O (0.7853, 0.2389, 0.9587)
O (0.5623, 0.2374, 0.2934)
O (0.9568, 0.5467, 0.7849)
O (0.2800, 0.4298, 0.5480)
O (0.0856, 0.9038, 0.5695)
O (0.7200, 0.5702, 0.4520)
O (0.5432, 0.0467, 0.2151)
O (0.9144, 0.5962, 0.0695)
O (0.0856, 0.4038, 0.9305)
O (0.8478, 0.3942, 0.2989)
O (0.2853, 0.7611, 0.5413)
O (0.5432, 0.5467, 0.2849)
O (0.7800, 0.5702, 0.9520)
O (0.4144, 0.4038, 0.4305)
O (0.9568, 0.0467, 0.7151)
O (0.5623, 0.7374, 0.2066)
O (0.5856, 0.0962, 0.9305)
O (0.1522, 0.6058, 0.7011)
O (0.0432, 0.4533, 0.2151)
O (0.7147, 0.7389, 0.0413)
O (0.1522, 0.1058, 0.7989)
O (0.2853, 0.2611, 0.9587)
O (0.3478, 0.6058, 0.2011)
O (0.7853, 0.7389, 0.5413)
O (0.9144, 0.0962, 0.4305)
O (0.4377, 0.7626, 0.7066)
O (0.0623, 0.2626, 0.2934)
O (0.4144, 0.9038, 0.0695)
O (0.2200, 0.9298, 0.4520)
O (0.4377, 0.2626, 0.7934)
O (0.2200, 0.4298, 0.0480)
O (0.5856, 0.5962, 0.5695)
O (0.7147, 0.2389, 0.4587)
O (0.2800, 0.9298, 0.9520)
O (0.4568, 0.9533, 0.7849)
O (0.2147, 0.2611, 0.4587)
O (0.6522, 0.3942, 0.7989)
O (0.0623, 0.7626, 0.2066)
O (0.0432, 0.9533, 0.2849)
O (0.7200, 0.0702, 0.0480)
O (0.2147, 0.7611, 0.0413)
O (0.6522, 0.8942, 0.7011)
O (0.9377, 0.2374, 0.7934)
O (0.9377, 0.7374, 0.7066)
O (0.8478, 0.8942, 0.2011)
O (0.4568, 0.4533, 0.7151)
O (0.7800, 0.0702, 0.5480)
O (0.3478, 0.1058, 0.2989)

=====

Here is a geometry-optimized EuZnSn structure from the Materials Project. Energies are from PBE.

Cell: 6.1116 6.1116 7.6879 Å, 51.46 51.46 46.37°
Element x y z (fractional)
Eu (0.5376, 0.5376, 0.7141)
Eu (0.4624, 0.4624, 0.2859)
Zn (0.8471, 0.8471, 0.1008)
Zn (0.1529, 0.1529, 0.8992)
Sn (0.1714, 0.1714, 0.2742)
Sn (0.8286, 0.8286, 0.7258)

=====

Here is a geometry-optimized NaCu3PbSe4 structure from the Materials Project. Energies are from PBE.

Cell: 6.1447 6.1447 6.1447 Å, 90.00 90.00 90.00°
Element x y z (fractional)
Na (0.5000, 0.5000, 0.5000)
Cu (0.0000, 0.5000, 0.0000)
Cu (0.0000, 0.0000, 0.5000)
Cu (0.5000, 0.0000, 0.0000)
Pb (0.0000, 0.0000, 0.0000)
Se (0.2464, 0.2464, 0.2464)
Se (0.7536, 0.7536, 0.2464)
Se (0.2464, 0.7536, 0.7536)
Se (0.7536, 0.2464, 0.7536)

=====

Here is a geometry-optimized Ca3SnF6 structure from the Materials Project. Energies are from PBE.

Cell: 6.9066 6.6764 8.8206 Å, 77.51 136.33 119.60°
Element x y z (fractional)
Ca (0.0000, 0.0000, 0.5000)
Ca (0.5000, 0.5000, 0.0000)
Ca (0.0000, 0.5000, 0.0000)
Sn (0.0000, 0.0000, 0.0000)
F (0.0789, 0.5485, 0.7821)
F (0.9211, 0.4515, 0.2179)
F (0.9718, 0.9944, 0.7289)
F (0.0282, 0.0056, 0.2711)
F (0.4568, 0.3383, 0.7558)
F (0.5432, 0.6617, 0.2442)

The relative energy among the computed polymorphs comes out at 180 meV/atom.

=====

Going through the records in order, we get ΔE_f values of -21.5; -1.5; -2.3; -32.3 eV per formula unit.
Going through the records in order, we get V values of 19.66; 25.47; 25.78; 23.74 Å³ per atom.